Crystalline SrMg30CO32 at its relaxed geometry, computed with PBE.

Computed properties:
space group = P4/mmm
VASP energy = -377.86 eV per formula unit

CIF file:
```
data_SrMg30CO32
_space_group_name_H-M_alt 'P 1'
_space_group_IT_number 1
_cell_length_a 8.5970
_cell_length_b 8.5970
_cell_length_c 8.5774
_cell_angle_alpha 90.00
_cell_angle_beta 90.00
_cell_angle_gamma 90.00
loop_
_space_group_symop_operation_xyz
'x,y,z'
loop_
_atom_site_label
_atom_site_type_symbol
_atom_site_fract_x
_atom_site_fract_y
_atom_site_fract_z
Sr1 Sr 0.0000 0.0000 0.0000
Mg1 Mg 0.0000 0.5000 0.0000
Mg2 Mg 0.0000 0.5000 0.5000
Mg3 Mg 0.5000 0.0000 0.0000
Mg4 Mg 0.5000 0.0000 0.5000
Mg5 Mg 0.5000 0.5000 0.0000
Mg6 Mg 0.5000 0.5000 0.5000
Mg7 Mg 0.0000 0.2537 0.2568
Mg8 Mg 0.0000 0.2537 0.7432
Mg9 Mg 0.0000 0.7463 0.2568
Mg10 Mg 0.0000 0.7463 0.7432
Mg11 Mg 0.5000 0.2503 0.2510
Mg12 Mg 0.5000 0.2503 0.7490
Mg13 Mg 0.5000 0.7497 0.2510
Mg14 Mg 0.5000 0.7497 0.7490
Mg15 Mg 0.2537 0.0000 0.2568
Mg16 Mg 0.2537 0.0000 0.7432
Mg17 Mg 0.2503 0.5000 0.2510
Mg18 Mg 0.2503 0.5000 0.7490
Mg19 Mg 0.7463 0.0000 0.2568
Mg20 Mg 0.7463 0.0000 0.7432
Mg21 Mg 0.7497 0.5000 0.2510
Mg22 Mg 0.7497 0.5000 0.7490
Mg23 Mg 0.2548 0.2548 0.0000
Mg24 Mg 0.2483 0.2483 0.5000
Mg25 Mg 0.2548 0.7452 0.0000
Mg26 Mg 0.2483 0.7517 0.5000
Mg27 Mg 0.7452 0.2548 0.0000
Mg28 Mg 0.7517 0.2483 0.5000
Mg29 Mg 0.7452 0.7452 0.0000
Mg30 Mg 0.7517 0.7517 0.5000
C1 C 0.0000 0.0000 0.5000
O1 O 0.2700 0.0000 0.0000
O2 O 0.2557 0.0000 0.5000
O3 O 0.2538 0.5000 0.0000
O4 O 0.2503 0.5000 0.5000
O5 O 0.7300 0.0000 0.0000
O6 O 0.7443 0.0000 0.5000
O7 O 0.7462 0.5000 0.0000
O8 O 0.7497 0.5000 0.5000
O9 O 0.2492 0.2492 0.2501
O10 O 0.2492 0.2492 0.7499
O11 O 0.2492 0.7508 0.2501
O12 O 0.2492 0.7508 0.7499
O13 O 0.7508 0.2492 0.2501
O14 O 0.7508 0.2492 0.7499
O15 O 0.7508 0.7508 0.2501
O16 O 0.7508 0.7508 0.7499
O17 O 0.0000 0.0000 0.2705
O18 O 0.0000 0.0000 0.7295
O19 O 0.0000 0.5000 0.2543
O20 O 0.0000 0.5000 0.7457
O21 O 0.5000 0.0000 0.2543
O22 O 0.5000 0.0000 0.7457
O23 O 0.5000 0.5000 0.2509
O24 O 0.5000 0.5000 0.7491
O25 O 0.0000 0.2700 0.0000
O26 O 0.0000 0.2557 0.5000
O27 O 0.0000 0.7300 0.0000
O28 O 0.0000 0.7443 0.5000
O29 O 0.5000 0.2538 0.0000
O30 O 0.5000 0.2503 0.5000
O31 O 0.5000 0.7462 0.0000
O32 O 0.5000 0.7497 0.5000
```